(1)
{"formula": "K2HgAsI6", "functional": "PBE-GGA", "state": "relaxed", "mass_density_kg_m3": 4323, "ef_ev_per_fu": -8.972, "cell": [[-4.523, -1.343, 7.024], [-3.085, 6.560, 4.364], [-8.323, 1.524, 0.028]], "species": ["I", "I", "I", "I", "I", "I", "As", "K", "K", "Hg"], "frac_coords": [[0.242, 0.242, 0.758], [0.242, 0.758, 0.242], [0.242, 0.758, 0.758], [0.758, 0.758, 0.242], [0.758, 0.242, 0.758], [0.758, 0.242, 0.242], [0.000, 0.000, 0.000], [0.750, 0.750, 0.750], [0.250, 0.250, 0.250], [0.500, 0.500, 0.500]]}



(2)
{"formula": "Na2HgAsI6", "functional": "PBE-GGA", "state": "relaxed", "mass_density_kg_m3": 4278, "ef_ev_per_fu": -6.984, "cell": [[5.336, -4.416, 4.767], [-1.885, -1.609, 8.035], [-1.969, -7.823, 2.371]], "species": ["Hg", "I", "I", "I", "I", "I", "I", "As", "Na", "Na"], "frac_coords": [[0.500, 0.500, 0.500], [0.242, 0.758, 0.758], [0.242, 0.242, 0.758], [0.758, 0.242, 0.758], [0.242, 0.758, 0.242], [0.758, 0.758, 0.242], [0.758, 0.242, 0.242], [0.000, 0.000, 0.000], [0.250, 0.250, 0.250], [0.750, 0.750, 0.750]]}



(3)
{"formula": "Rb2HgAsI6", "functional": "PBE-GGA", "state": "relaxed", "mass_density_kg_m3": 4630, "ef_ev_per_fu": -9.376, "cell": [[0.000, 6.006, 6.006], [6.006, 0.000, 6.006], [6.006, 6.006, 0.000]], "species": ["I", "I", "I", "I", "I", "I", "As", "Rb", "Rb", "Hg"], "frac_coords": [[0.759, 0.759, 0.241], [0.759, 0.241, 0.759], [0.759, 0.241, 0.241], [0.241, 0.759, 0.759], [0.241, 0.759, 0.241], [0.241, 0.241, 0.759], [0.000, 0.000, 0.000], [0.250, 0.250, 0.250], [0.750, 0.750, 0.750], [0.500, 0.500, 0.500]]}